No. 1
Density functional theory data (PBE) for a relaxed structure of Sm10Pd21.

Cell and atoms, written as CIF:
```
data_Sm10Pd21
_chemical_formula_sum 'Sm20 Pd42'
_cell_length_a 5.8490
_cell_length_b 12.9210
_cell_length_c 16.7386
_cell_angle_alpha 89.13
_cell_angle_beta 89.97
_cell_angle_gamma 76.92
_symmetry_space_group_name_H-M 'P -1'
_symmetry_Int_Tables_number 2
_symmetry_space_group_name_Hall '-P 1'
loop_
_atom_site_label
_atom_site_type_symbol
_atom_site_fract_x
_atom_site_fract_y
_atom_site_fract_z
Sm1 Sm 0.0380 0.4312 0.2797
Sm2 Sm 0.0711 0.3577 0.9808
Sm3 Sm 0.1497 0.2028 0.5191
Sm4 Sm 0.1843 0.1290 0.8018
Sm5 Sm 0.2219 0.0517 0.0789
Sm6 Sm 0.2624 0.9735 0.3519
Sm7 Sm 0.3551 0.7909 0.6443
Sm8 Sm 0.3813 0.7384 0.8694
Sm9 Sm 0.4246 0.6483 0.1869
Sm10 Sm 0.4574 0.5849 0.4061
Pd1 Pd 0.0000 0.0000 0.5000
Pd2 Pd 0.0448 0.4114 0.5912
Pd3 Pd 0.0509 0.9071 0.7733
Pd4 Pd 0.0656 0.3656 0.7902
Pd5 Pd 0.1008 0.8309 0.0470
Pd6 Pd 0.1166 0.2667 0.1607
Pd7 Pd 0.1220 0.7550 0.3237
Pd8 Pd 0.1402 0.2176 0.3359
Pd9 Pd 0.1871 0.6141 0.5613
Pd10 Pd 0.2287 0.5315 0.8825
Pd11 Pd 0.2386 0.0240 0.6450
Pd12 Pd 0.2608 0.4681 0.1175
Pd13 Pd 0.2687 0.9612 0.9218
Pd14 Pd 0.3025 0.3876 0.4393
Pd15 Pd 0.3139 0.8751 0.1978
Pd16 Pd 0.3472 0.8024 0.4754
Pd17 Pd 0.3763 0.2448 0.6766
Pd18 Pd 0.4307 0.1689 0.9525
Pd19 Pd 0.4436 0.6158 0.0166
Pd20 Pd 0.4582 0.0931 0.2265
Pd21 Pd 0.4575 0.5767 0.7269
Pd22 Pd 0.5000 0.0000 0.5000
```

Values from the calculation:
* mass density: 10.08 Mg/m³
* spin magnetization: 0.00 μB/atom
* calculated formation energy: -82.0 kJ/mol of atoms



No. 2
Density functional theory data (PBE) for a relaxed structure of Sm7Pd3.

Cell and atoms, written as CIF:
```
data_Sm7Pd3
_chemical_formula_sum 'Sm28 Pd12'
_cell_length_a 10.1168
_cell_length_b 17.4459
_cell_length_c 6.4552
_cell_angle_alpha 90.00
_cell_angle_beta 90.00
_cell_angle_gamma 90.00
_symmetry_space_group_name_H-M 'C m c 21'
_symmetry_Int_Tables_number 36
_symmetry_space_group_name_Hall 'C 2c -2'
loop_
_atom_site_label
_atom_site_type_symbol
_atom_site_fract_x
_atom_site_fract_y
_atom_site_fract_z
Sm1 Sm 0.0000 0.0378 0.0000
Sm2 Sm 0.0000 0.1666 0.4974
Sm3 Sm 0.0000 0.3735 0.6999
Sm4 Sm 0.1897 0.4368 0.2004
Sm5 Sm 0.1936 0.2312 0.0008
Pd1 Pd 0.0000 0.3109 0.2557
Pd2 Pd 0.2165 0.0945 0.2556
```

Values from the calculation:
* mass density: 8.00 Mg/m³
* spin magnetization: 0.00 μB/atom
* calculated formation energy: -49.5 kJ/mol of atoms



No. 3
Density functional theory data (PBE) for a relaxed structure of Sm3Pd.

Cell and atoms, written as CIF:
```
data_Sm3Pd
_chemical_formula_sum 'Sm6 Pd2'
_cell_length_a 4.4714
_cell_length_b 4.4714
_cell_length_c 10.9701
_cell_angle_alpha 90.00
_cell_angle_beta 90.00
_cell_angle_gamma 90.00
_symmetry_space_group_name_H-M 'I 4/m m m'
_symmetry_Int_Tables_number 139
_symmetry_space_group_name_Hall '-I 4 2'
loop_
_atom_site_label
_atom_site_type_symbol
_atom_site_fract_x
_atom_site_fract_y
_atom_site_fract_z
Sm1 Sm 0.0000 0.0000 0.0000
Sm2 Sm 0.0000 0.5000 0.2500
Pd1 Pd 0.0000 0.0000 0.5000
```

Values from the calculation:
* mass density: 8.44 Mg/m³
* spin magnetization: 0.02 μB/atom
* calculated formation energy: -14.8 kJ/mol of atoms
* relative energy among the computed polymorphs: 0 meV per atom



No. 4
Density functional theory data (PBE) for a relaxed structure of Sm10Pd21.

Cell and atoms, written as CIF:
```
data_Sm10Pd21
_chemical_formula_sum 'Sm20 Pd42'
_cell_length_a 5.8582
_cell_length_b 12.9327
_cell_length_c 16.7489
_cell_angle_alpha 90.76
_cell_angle_beta 90.01
_cell_angle_gamma 103.09
_symmetry_space_group_name_H-M 'P 1'
_symmetry_Int_Tables_number 1
_symmetry_space_group_name_Hall 'P 1'
loop_
_atom_site_label
_atom_site_type_symbol
_atom_site_fract_x
_atom_site_fract_y
_atom_site_fract_z
Sm1 Sm 0.0000 0.0000 0.0000
Sm2 Sm 0.0289 0.0634 0.2191
Sm3 Sm 0.0751 0.1534 0.5367
Sm4 Sm 0.0990 0.2035 0.7616
Sm5 Sm 0.1921 0.3891 0.0541
Sm6 Sm 0.2304 0.4681 0.3273
Sm7 Sm 0.2708 0.5441 0.6042
Sm8 Sm 0.3056 0.6187 0.8869
Sm9 Sm 0.3861 0.7735 0.4248
Sm10 Sm 0.4255 0.8480 0.1259
Sm11 Sm 0.4905 0.9832 0.6856
Sm12 Sm 0.5275 0.0588 0.3866
Sm13 Sm 0.6032 0.2127 0.9254
Sm14 Sm 0.6431 0.2873 0.2089
Sm15 Sm 0.6783 0.3639 0.4848
Sm16 Sm 0.7178 0.4407 0.7583
Sm17 Sm 0.8103 0.6280 0.0502
Sm18 Sm 0.8384 0.6785 0.2756
Sm19 Sm 0.8819 0.7673 0.5924
Sm20 Sm 0.9142 0.8311 0.8118
Pd1 Pd 0.0161 0.0359 0.3888
Pd2 Pd 0.0248 0.5851 0.4524
Pd3 Pd 0.0784 0.6600 0.7296
Pd4 Pd 0.1053 0.2175 0.9305
Pd5 Pd 0.1446 0.2898 0.2097
Pd6 Pd 0.1576 0.8034 0.9657
Pd7 Pd 0.1854 0.3779 0.4853
Pd8 Pd 0.1965 0.8841 0.2888
Pd9 Pd 0.2160 0.4378 0.7620
Pd10 Pd 0.2285 0.9478 0.5222
Pd11 Pd 0.2687 0.0281 0.8457
Pd12 Pd 0.3123 0.6335 0.0696
Pd13 Pd 0.3342 0.1708 0.0826
Pd14 Pd 0.3404 0.6828 0.2448
Pd15 Pd 0.3556 0.2478 0.3600
Pd16 Pd 0.3880 0.7802 0.6149
Pd17 Pd 0.4035 0.3218 0.6331
Pd18 Pd 0.4123 0.8269 0.8130
Pd19 Pd 0.4543 0.4154 0.9062
Pd20 Pd 0.5018 0.0038 0.9977
Pd21 Pd 0.5059 0.5088 0.1790
Pd22 Pd 0.5227 0.0509 0.1969
Pd23 Pd 0.5560 0.5852 0.4530
Pd24 Pd 0.5721 0.1481 0.5667
Pd25 Pd 0.5779 0.6598 0.7296
Pd26 Pd 0.5959 0.1970 0.7426
Pd27 Pd 0.6449 0.8032 0.9654
Pd28 Pd 0.6865 0.8838 0.2891
Pd29 Pd 0.6941 0.3932 0.0508
Pd30 Pd 0.7190 0.9481 0.5231
Pd31 Pd 0.7235 0.4556 0.3274
Pd32 Pd 0.7565 0.0283 0.8459
Pd33 Pd 0.7694 0.5405 0.6028
Pd34 Pd 0.8025 0.6131 0.8812
Pd35 Pd 0.8326 0.1708 0.0825
Pd36 Pd 0.8869 0.2479 0.3599
Pd37 Pd 0.8989 0.7983 0.4229
Pd38 Pd 0.9120 0.3220 0.6329
Pd39 Pd 0.9220 0.8409 0.1341
Pd40 Pd 0.9543 0.4158 0.9065
Pd41 Pd 0.9942 0.9902 0.6782
Pd42 Pd 0.9968 0.5087 0.1790
```

Values from the calculation:
* mass density: 10.05 Mg/m³
* calculated formation energy: -82.1 kJ/mol of atoms